Entry 1:
Below is crystalline Ce8GePd24 at its relaxed geometry, with properties calculated at the GGA-PBE level.

Unit cell a=8.451 b=8.451 c=8.451 alpha=90.00 beta=90.00 gamma=90.00
Positions (direct):
Ge 0.000 0.000 0.000
Pd 0.500 0.000 0.738
Pd 0.298 0.000 0.000
Pd 0.500 0.500 0.254
Pd 0.000 0.000 0.702
Pd 0.000 0.500 0.738
Pd 0.000 0.000 0.298
Pd 0.500 0.746 0.500
Pd 0.738 0.000 0.500
Pd 0.000 0.262 0.500
Pd 0.500 0.738 0.000
Pd 0.500 0.254 0.500
Pd 0.000 0.702 0.000
Pd 0.702 0.000 0.000
Pd 0.000 0.500 0.262
Pd 0.746 0.500 0.500
Pd 0.738 0.500 0.000
Pd 0.500 0.500 0.746
Pd 0.262 0.500 0.000
Pd 0.000 0.298 0.000
Pd 0.254 0.500 0.500
Pd 0.500 0.262 0.000
Pd 0.262 0.000 0.500
Pd 0.000 0.738 0.500
Pd 0.500 0.000 0.262
Ce 0.250 0.250 0.250
Ce 0.750 0.750 0.750
Ce 0.250 0.750 0.750
Ce 0.750 0.250 0.750
Ce 0.750 0.750 0.250
Ce 0.750 0.250 0.250
Ce 0.250 0.750 0.250
Ce 0.250 0.250 0.750

Summary:
- Calculated volume: 18.3 A^3/atom
- ΔE_f: -0.80 eV/atom

***

Entry 2:
Below is crystalline CeGePd at its relaxed geometry, with properties calculated at the GGA-PBE level.

Unit cell a=5.660 b=5.660 c=7.266 alpha=51.76 beta=51.76 gamma=46.42
Positions (direct):
Ge 0.159 0.159 0.899
Ge 0.841 0.841 0.101
Pd 0.178 0.178 0.285
Pd 0.822 0.822 0.715
Ce 0.539 0.539 0.699
Ce 0.461 0.461 0.301

Summary:
- Calculated volume: 20.8 A^3/atom
- ΔE_f: -0.83 eV/atom

***

Entry 3:
Below is crystalline CeGe3Pd5 at its relaxed geometry, with properties calculated at the GGA-PBE level.

Unit cell a=4.150 b=7.344 c=20.350 alpha=90.00 beta=90.00 gamma=90.00
Positions (direct):
Pd 0.750 0.177 0.200
Pd 0.750 0.121 0.486
Pd 0.250 0.129 0.994
Pd 0.250 0.677 0.300
Pd 0.250 0.621 0.014
Pd 0.250 0.879 0.514
Pd 0.250 0.427 0.794
Pd 0.750 0.646 0.884
Pd 0.250 0.146 0.616
Pd 0.250 0.354 0.116
Pd 0.750 0.927 0.706
Pd 0.250 0.073 0.294
Pd 0.750 0.323 0.700
Pd 0.750 0.629 0.506
Pd 0.750 0.379 0.986
Pd 0.750 0.573 0.206
Pd 0.250 0.823 0.800
Pd 0.250 0.371 0.494
Pd 0.750 0.871 0.006
Pd 0.750 0.854 0.384
Ge 0.250 0.851 0.924
Ge 0.750 0.623 0.762
Ge 0.750 0.351 0.576
Ge 0.250 0.377 0.238
Ge 0.250 0.406 0.914
Ge 0.750 0.877 0.262
Ge 0.250 0.649 0.424
Ge 0.750 0.906 0.586
Ge 0.750 0.149 0.076
Ge 0.250 0.094 0.414
Ge 0.750 0.594 0.086
Ge 0.250 0.123 0.738
Ce 0.750 0.123 0.855
Ce 0.250 0.877 0.145
Ce 0.750 0.377 0.355
Ce 0.250 0.623 0.645

Summary:
- Calculated volume: 17.2 A^3/atom
- ΔE_f: -0.70 eV/atom

***

Entry 4:
Below is crystalline CeGePd2 at its relaxed geometry, with properties calculated at the GGA-PBE level.

Unit cell a=5.680 b=6.981 c=7.854 alpha=90.00 beta=90.00 gamma=90.00
Positions (direct):
Ce 0.153 0.750 0.543
Ce 0.347 0.750 0.043
Ce 0.847 0.250 0.457
Ce 0.653 0.250 0.957
Ge 0.342 0.250 0.615
Ge 0.158 0.250 0.115
Ge 0.658 0.750 0.385
Ge 0.842 0.750 0.885
Pd 0.911 0.550 0.181
Pd 0.089 0.450 0.819
Pd 0.411 0.450 0.319
Pd 0.589 0.550 0.681
Pd 0.911 0.950 0.181
Pd 0.589 0.950 0.681
Pd 0.411 0.050 0.319
Pd 0.089 0.050 0.819

Summary:
- Calculated volume: 19.5 A^3/atom
- ΔE_f: -0.81 eV/atom

***

Entry 5:
Below is crystalline CeGePd at its relaxed geometry, with properties calculated at the GGA-PBE level.

Unit cell a=4.484 b=7.716 c=21.662 alpha=90.00 beta=90.00 gamma=90.00
Positions (direct):
Ge 0.750 0.911 0.734
Ge 0.750 0.913 0.602
Ge 0.250 0.413 0.898
Ge 0.250 0.411 0.766
Ge 0.250 0.089 0.266
Ge 0.750 0.910 0.927
Ge 0.250 0.090 0.073
Ge 0.750 0.590 0.427
Ge 0.750 0.589 0.234
Ge 0.250 0.087 0.398
Ge 0.750 0.587 0.102
Ge 0.250 0.410 0.573
Ce 0.250 0.789 0.166
Ce 0.250 0.714 0.333
Ce 0.750 0.211 0.834
Ce 0.250 0.711 0.666
Ce 0.750 0.214 0.167
Ce 0.250 0.786 0.833
Ce 0.750 0.286 0.667
Ce 0.250 0.720 0.002
Ce 0.750 0.289 0.334
Ce 0.750 0.280 0.998
Ce 0.250 0.780 0.502
Ce 0.750 0.220 0.498
Pd 0.250 0.416 0.433
Pd 0.750 0.580 0.761
Pd 0.750 0.920 0.261
Pd 0.250 0.422 0.093
Pd 0.250 0.080 0.739
Pd 0.250 0.084 0.933
Pd 0.250 0.420 0.239
Pd 0.750 0.578 0.907
Pd 0.750 0.922 0.407
Pd 0.750 0.584 0.567
Pd 0.750 0.916 0.067
Pd 0.250 0.078 0.593

Summary:
- Calculated volume: 20.8 A^3/atom
- ΔE_f: -0.91 eV/atom

***

Entry 6:
Below is crystalline CeSiGePd2 at its relaxed geometry, with properties calculated at the GGA-PBE level.

Unit cell a=5.902 b=5.902 c=5.902 alpha=137.75 beta=137.75 gamma=61.28
Positions (direct):
Si 0.376 0.376 0.000
Pd 0.756 0.256 0.500
Pd 0.256 0.756 0.500
Ce 0.999 0.999 0.000
Ge 0.613 0.613 0.000

Summary:
- Calculated volume: 18.4 A^3/atom
- ΔE_f: -0.85 eV/atom

***

Entry 7:
Below is crystalline CeGe3Pt5 at its relaxed geometry, with properties calculated at the GGA-PBE level.

Unit cell a=4.227 b=20.505 c=7.338 alpha=90.00 beta=90.00 gamma=90.00
Positions (direct):
Ge 0.750 0.914 0.910
Ge 0.250 0.086 0.090
Ge 0.750 0.736 0.616
Ge 0.250 0.576 0.843
Ge 0.750 0.424 0.157
Ge 0.250 0.586 0.410
Ge 0.250 0.764 0.116
Ge 0.250 0.264 0.384
Ge 0.250 0.076 0.657
Ge 0.750 0.924 0.343
Ge 0.750 0.414 0.590
Ge 0.750 0.236 0.884
Pt 0.250 0.201 0.679
Pt 0.250 0.701 0.821
Pt 0.750 0.116 0.826
Pt 0.750 0.616 0.674
Pt 0.750 0.299 0.179
Pt 0.750 0.796 0.915
Pt 0.250 0.384 0.326
Pt 0.750 0.988 0.625
Pt 0.250 0.512 0.125
Pt 0.250 0.481 0.620
Pt 0.250 0.704 0.415
Pt 0.750 0.296 0.585
Pt 0.250 0.981 0.880
Pt 0.750 0.488 0.875
Pt 0.750 0.799 0.321
Pt 0.250 0.204 0.085
Pt 0.250 0.012 0.375
Pt 0.250 0.884 0.174
Pt 0.750 0.019 0.120
Pt 0.750 0.519 0.380
Ce 0.250 0.854 0.622
Ce 0.250 0.354 0.878
Ce 0.750 0.646 0.122
Ce 0.750 0.146 0.378

Summary:
- Calculated volume: 17.7 A^3/atom
- ΔE_f: -0.69 eV/atom

***

Entry 8:
Below is crystalline CeGe12Pt4 at its relaxed geometry, with properties calculated at the GGA-PBE level.

Unit cell a=7.554 b=7.554 c=7.554 alpha=109.47 beta=109.47 gamma=109.47
Positions (direct):
Ge 0.646 0.797 0.151
Ge 0.151 0.646 0.797
Ge 0.354 0.203 0.849
Ge 0.151 0.354 0.505
Ge 0.203 0.849 0.354
Ge 0.505 0.151 0.354
Ge 0.646 0.495 0.849
Ge 0.495 0.849 0.646
Ge 0.849 0.646 0.495
Ge 0.354 0.505 0.151
Ge 0.797 0.151 0.646
Ge 0.849 0.354 0.203
Pt 0.500 0.500 0.500
Pt 0.500 0.000 0.000
Pt 0.000 0.000 0.500
Pt 0.000 0.500 0.000
Ce 0.000 0.000 0.000

Summary:
- Calculated volume: 19.5 A^3/atom
- ΔE_f: -0.39 eV/atom

***

Entry 9:
Below is crystalline Ce2Ge4Pt7 at its relaxed geometry, with properties calculated at the GGA-PBE level.

Unit cell a=4.108 b=11.593 c=20.119 alpha=90.00 beta=90.00 gamma=90.00
Positions (direct):
Ce 0.250 0.257 0.972
Ce 0.250 0.243 0.472
Ce 0.750 0.986 0.719
Ce 0.750 0.757 0.528
Ce 0.750 0.514 0.219
Ce 0.250 0.486 0.781
Ce 0.250 0.014 0.281
Ce 0.750 0.743 0.028
Ge 0.750 0.436 0.913
Ge 0.250 0.747 0.905
Ge 0.250 0.577 0.586
Ge 0.750 0.707 0.744
Ge 0.250 0.293 0.256
Ge 0.250 0.564 0.087
Ge 0.750 0.423 0.414
Ge 0.750 0.253 0.095
Ge 0.750 0.077 0.914
Ge 0.250 0.936 0.587
Ge 0.750 0.793 0.244
Ge 0.250 0.753 0.405
Ge 0.250 0.923 0.086
Ge 0.750 0.064 0.413
Ge 0.750 0.247 0.595
Ge 0.250 0.207 0.756
Pt 0.750 0.437 0.535
Pt 0.750 0.871 0.363
Pt 0.750 0.178 0.217
Pt 0.750 0.621 0.370
Pt 0.750 0.063 0.035
Pt 0.250 0.448 0.338
Pt 0.250 0.952 0.459
Pt 0.250 0.052 0.838
Pt 0.250 0.379 0.630
Pt 0.750 0.552 0.662
Pt 0.250 0.743 0.151
Pt 0.250 0.822 0.783
Pt 0.750 0.243 0.349
Pt 0.250 0.129 0.637
Pt 0.750 0.629 0.863
Pt 0.750 0.879 0.870
Pt 0.250 0.757 0.651
Pt 0.750 0.452 0.041
Pt 0.250 0.937 0.965
Pt 0.250 0.563 0.465
Pt 0.250 0.121 0.130
Pt 0.750 0.948 0.162
Pt 0.750 0.048 0.541
Pt 0.250 0.678 0.283
Pt 0.250 0.371 0.137
Pt 0.250 0.548 0.959
Pt 0.750 0.257 0.849
Pt 0.750 0.322 0.717

Summary:
- Calculated volume: 18.4 A^3/atom
- ΔE_f: -0.79 eV/atom

***

Entry 10:
Below is crystalline CeGe2Pt2 at its relaxed geometry, with properties calculated at the GGA-PBE level.

Unit cell a=4.409 b=4.409 c=9.939 alpha=90.00 beta=90.00 gamma=90.00
Positions (direct):
Ge 0.500 0.500 0.500
Ge 0.000 0.000 0.500
Ge 0.000 0.500 0.870
Ge 0.500 0.000 0.130
Pt 0.500 0.500 0.000
Pt 0.000 0.500 0.623
Pt 0.500 0.000 0.377
Pt 0.000 0.000 0.000
Ce 0.500 0.000 0.748
Ce 0.000 0.500 0.252

Summary:
- Calculated volume: 19.3 A^3/atom
- ΔE_f: -0.90 eV/atom

***

Entry 11:
Below is crystalline CeGe2Pt2 at its relaxed geometry, with properties calculated at the GGA-PBE level.

Unit cell a=5.894 b=5.894 c=5.894 alpha=136.21 beta=136.21 gamma=63.65
Positions (direct):
Ce 0.000 0.000 0.000
Ge 0.624 0.624 0.000
Ge 0.376 0.376 0.000
Pt 0.250 0.750 0.500
Pt 0.750 0.250 0.500

Summary:
- Calculated volume: 19.4 A^3/atom
- ΔE_f: -0.80 eV/atom

***

Entry 12:
Below is crystalline Ce2Ge6Pt at its relaxed geometry, with properties calculated at the GGA-PBE level.

Unit cell a=4.147 b=4.173 c=11.260 alpha=90.00 beta=100.61 gamma=90.00
Positions (direct):
Ce 0.114 0.500 0.228
Ce 0.779 0.500 0.558
Pt 0.558 0.000 0.116
Ge 0.669 0.000 0.338
Ge 0.236 0.000 0.472
Ge 0.494 0.500 0.988
Ge 0.994 0.000 0.988
Ge 0.381 0.500 0.763
Ge 0.881 0.000 0.762

Summary:
- Calculated volume: 21.3 A^3/atom
- ΔE_f: -0.54 eV/atom